Record 1
Below is a relaxed structure of SrMg, with properties calculated at the PBE level.

Cell lengths 6.5010, 6.5010, 6.9195 Å; angles 67.28, 67.28, 59.50 degrees
Last column: nearest neighbours and their distance in Å.
Element x y z (fractional)
Sr1 0.3606 0.6394 0.0000  8 Mg 3.58-3.93, 4 Sr 3.87-3.98
Sr2 0.8297 0.8493 0.4893  7 Mg 3.61-3.89, 5 Sr 3.69-3.98
Sr3 0.1507 0.1703 0.5107  7 Mg 3.61-3.89, 5 Sr 3.69-3.98
Mg1 0.9979 0.3399 0.0046  7 Sr 3.58-3.93, 5 Mg 3.70-3.97
Mg2 0.6601 0.0021 0.9954  7 Sr 3.58-3.93, 5 Mg 3.70-3.97
Mg3 0.5010 0.4990 0.5000  8 Sr 3.58-3.80, 4 Mg 3.75-3.97

The value obtained for the formation energy is 0.07 eV per atom. The crystal system is monoclinic.



Record 2
Below is a relaxed structure of SrMg5, with properties calculated at the PBE level.

Cell lengths 6.1902, 6.1902, 5.0597 Å; angles 90.00, 90.00, 120.00 degrees
Last column: nearest neighbours and their distance in Å.
Element x y z (fractional)
Sr1 0.0000 0.0000 0.5000  18 Mg 3.57-4.00
Mg1 0.5000 0.0000 0.0000  8 Mg 3.10
Mg2 0.6667 0.3333 0.5000  6 Mg 3.10
Mg3 0.5000 0.5000 0.0000  8 Mg 3.10
Mg4 0.3333 0.6667 0.5000  6 Mg 3.10
Mg5 0.0000 0.5000 0.0000  8 Mg 3.10

The value obtained for the formation energy is -0.04 eV per atom. The crystal system is hexagonal. The offset from the most stable computed form comes out at 0.000 eV per atom.



Record 3
Below is a relaxed structure of SrMg3, with properties calculated at the PBE level.

Cell lengths 5.4412, 5.4412, 5.4412 Å; angles 60.00, 60.00, 60.00 degrees
Last column: nearest neighbours and their distance in Å.
Element x y z (fractional)
Sr1 0.0000 0.0000 0.0000  8 Mg 3.33
Mg1 0.5000 0.5000 0.5000  8 Mg 3.33
Mg2 0.2500 0.2500 0.2500  4 Mg 3.33, 4 Sr 3.33
Mg3 0.7500 0.7500 0.7500  4 Mg 3.33, 4 Sr 3.33

The value obtained for the formation energy is -0.02 eV per atom. The crystal system is cubic.



Record 4
Below is a relaxed structure of SrMg2, with properties calculated at the PBE level.

Cell lengths 4.0016, 4.0016, 15.0950 Å; angles 90.00, 90.00, 120.00 degrees
Last column: nearest neighbours and their distance in Å.
Element x y z (fractional)
Sr1 0.3333 0.6667 0.6158  3 Mg 3.59, 6 Sr 4.00
Sr2 0.6667 0.3333 0.3842  3 Mg 3.59, 6 Sr 4.00
Mg1 0.3333 0.6667 0.9344  6 Mg 3.04-3.10
Mg2 0.6667 0.3333 0.7975  3 Mg 3.10
Mg3 0.3333 0.6667 0.2025  3 Mg 3.10
Mg4 0.6667 0.3333 0.0656  6 Mg 3.04-3.10

The value obtained for the formation energy is 0.18 eV per atom. The crystal system is trigonal.



Record 5
Below is a relaxed structure of SrMg2, with properties calculated at the PBE level.

Cell lengths 6.7825, 6.7825, 7.8408 Å; angles 87.29, 87.29, 34.55 degrees
Last column: nearest neighbours and their distance in Å.
Element x y z (fractional)
Sr1 0.6552 0.6552 0.2753  8 Mg 3.52-3.87
Sr2 0.9148 0.9148 0.6017  7 Mg 3.41-3.67
Mg1 0.9871 0.9871 0.0137  4 Mg 3.05-3.25, 1 Sr 3.41
Mg2 0.3785 0.3785 0.2529  3 Mg 2.99-3.05
Mg3 0.6240 0.6240 0.7682  4 Mg 3.08-3.25
Mg4 0.2738 0.2738 0.9216  3 Mg 2.99-3.08

The value obtained for the formation energy is 0.08 eV per atom. The crystal system is monoclinic.



Record 6
Below is a relaxed structure of SrMg, with properties calculated at the PBE level.

Cell lengths 6.4595, 6.4595, 5.8723 Å; angles 90.00, 90.00, 113.86 degrees
Last column: nearest neighbours and their distance in Å.
Element x y z (fractional)
Sr1 0.6111 0.6111 0.0000  6 Mg 3.57-3.80
Sr2 0.6948 0.0625 0.5000  6 Mg 3.46-3.77, 2 Sr 3.80
Sr3 0.0625 0.6948 0.5000  6 Mg 3.46-3.77, 2 Sr 3.80
Mg1 0.3101 0.0101 0.0000  3 Mg 3.25-3.52, 3 Sr 3.56-3.57
Mg2 0.0101 0.3101 0.0000  3 Mg 3.25-3.52, 3 Sr 3.56-3.57
Mg3 0.3114 0.3114 0.5000  6 Sr 3.46-3.64, 4 Mg 3.52

The value obtained for the formation energy is 0.02 eV per atom. The crystal system is orthorhombic.



Record 7
Below is a relaxed structure of SrMg2, with properties calculated at the PBE level.

Cell lengths 6.5418, 6.5418, 8.9926 Å; angles 70.77, 70.77, 31.74 degrees
Last column: nearest neighbours and their distance in Å.
Element x y z (fractional)
Sr1 0.8449 0.8449 0.6253  3 Sr 3.58-3.78, 8 Mg 3.58-3.78
Sr2 0.1551 0.1551 0.3747  3 Sr 3.58-3.78, 8 Mg 3.58-3.78
Mg1 0.1450 0.1450 0.9779  7 Mg 3.19-3.53
Mg2 0.5418 0.5418 0.7675  4 Mg 3.19-3.21
Mg3 0.4582 0.4582 0.2325  4 Mg 3.19-3.21
Mg4 0.8550 0.8550 0.0221  7 Mg 3.19-3.53

The value obtained for the formation energy is 0.03 eV per atom. The crystal system is monoclinic.



Record 8
Below is a relaxed structure of SrMg6Ti, with properties calculated at the PBE level.

Cell lengths 6.6251, 6.6251, 4.5783 Å; angles 90.00, 90.00, 90.00 degrees
Last column: nearest neighbours and their distance in Å.
Element x y z (fractional)
Sr1 0.0000 0.0000 0.5000  12 Mg 3.31-3.46
Mg1 0.5000 0.0000 0.5000  8 Mg 3.29, 2 Ti 3.31, 2 Sr 3.31
Mg2 0.0000 0.5000 0.5000  8 Mg 3.29, 2 Ti 3.31, 2 Sr 3.31
Mg3 0.2774 0.7226 0.0000  6 Mg 2.95-3.29, 2 Ti 3.10
Mg4 0.7226 0.2774 0.0000  6 Mg 2.95-3.29, 2 Ti 3.10
Mg5 0.2774 0.2774 0.0000  6 Mg 2.95-3.29, 2 Ti 3.10
Mg6 0.7226 0.7226 0.0000  6 Mg 2.95-3.29, 2 Ti 3.10
Ti1 0.5000 0.5000 0.5000  12 Mg 3.10-3.31

The value obtained for the formation energy is 0.12 eV per atom. The crystal system is tetragonal. The offset from the most stable computed form comes out at 0.000 eV per atom.



Record 9
Below is a relaxed structure of SrMg6Ti, with properties calculated at the PBE level.

Cell lengths 5.2246, 6.7138, 11.4602 Å; angles 90.00, 90.00, 90.00 degrees
Last column: nearest neighbours and their distance in Å.
Element x y z (fractional)
Sr1 0.5000 0.5000 0.1603  10 Mg 3.27-3.38, 2 Ti 3.40
Sr2 0.5000 0.0000 0.6603  10 Mg 3.27-3.38, 2 Ti 3.40
Mg1 0.0000 0.2328 0.0803  1 Ti 3.07, 7 Mg 3.13-3.36, 2 Sr 3.30
Mg2 0.0000 0.7672 0.0803  1 Ti 3.07, 7 Mg 3.13-3.36, 2 Sr 3.30
Mg3 0.0000 0.5000 0.8397  10 Mg 3.28-3.36, 2 Ti 3.36
Mg4 0.5000 0.2302 0.9117  7 Mg 3.09-3.35, 2 Ti 3.12, 2 Sr 3.27-3.38
Mg5 0.5000 0.7698 0.9117  7 Mg 3.09-3.35, 2 Ti 3.12, 2 Sr 3.27-3.38
Mg6 0.5000 0.5000 0.6658  10 Mg 3.20-3.35, 2 Sr 3.36
Mg7 0.0000 0.7328 0.5803  1 Ti 3.07, 7 Mg 3.13-3.36, 2 Sr 3.30
Mg8 0.0000 0.2672 0.5803  1 Ti 3.07, 7 Mg 3.13-3.36, 2 Sr 3.30
Mg9 0.0000 0.0000 0.3397  10 Mg 3.28-3.36, 2 Ti 3.36
Mg10 0.5000 0.7302 0.4117  7 Mg 3.09-3.35, 2 Ti 3.12, 2 Sr 3.27-3.38
Mg11 0.5000 0.2698 0.4117  7 Mg 3.09-3.35, 2 Ti 3.12, 2 Sr 3.27-3.38
Mg12 0.5000 0.0000 0.1658  10 Mg 3.20-3.35, 2 Sr 3.36
Ti1 0.0000 0.5000 0.3502  8 Mg 3.07-3.36, 2 Sr 3.40
Ti2 0.0000 0.0000 0.8502  8 Mg 3.07-3.36, 2 Sr 3.40

The value obtained for the formation energy is 0.20 eV per atom. The offset from the most stable computed form comes out at 0.080 eV per atom.